a | This record from the Materials Project describes a relaxed Y2Cu3W6O24 crystal. The functional is PBE with a Hubbard U.

Calculated values
Magnetic moment ... 6.000 μB per cell

Cell lengths 6.0240, 9.9155, 17.5698 Å; angles 59.49, 90.00, 90.00 degrees
With the nearest neighbours (Å) after each atom.
Positions (direct):
O  0.0947  0.7921  0.3142  2 W 1.98-2.16, 1 Cu 2.05
O  0.3438  0.0027  0.1397  1 W 1.89, 1 Cu 1.98
W  0.8358  0.7394  0.2478  4 O 1.81-2.00
Cu  0.7364  0.0000  0.7500  4 O 1.98-2.05
O  0.3292  0.3269  0.8131  1 W 1.81, 1 Cu 1.90
W  0.8339  0.0831  0.9139  4 O 1.83-2.01
O  0.6074  0.5219  0.8726  1 W 1.76
O  0.8894  0.7201  0.6844  2 W 1.87-2.06
O  0.6562  0.0027  0.6397  1 W 1.89, 1 Cu 1.98
W  0.8339  0.9169  0.5861  4 O 1.83-2.01
O  0.1106  0.7201  0.1844  2 W 1.87-2.06
O  0.6562  0.9973  0.8603  1 W 1.89, 1 Cu 1.98
W  0.1642  0.7394  0.7478  4 O 1.81-2.00
W  0.1758  0.5839  0.4151  3 O 1.76-1.94
O  0.1137  0.6200  0.9830  1 W 1.94
Cu  0.2870  0.6663  0.5818  2 O 1.90-1.94
O  0.1124  0.9568  0.6477  2 W 2.00-2.14
O  0.9145  0.8735  0.0182  2 W 2.01-2.10, 1 Cu 2.15
W  0.8358  0.2606  0.2522  4 O 1.81-2.00
O  0.8894  0.2799  0.8156  2 W 1.87-2.06
O  0.3470  0.3327  0.0272  1 W 1.90, 1 Cu 1.94
O  0.6276  0.1866  0.2054  1 W 1.84
O  0.0855  0.8735  0.5182  2 W 2.01-2.10, 1 Cu 2.15
O  0.6530  0.6673  0.9728  1 W 1.90, 1 Cu 1.94
O  0.3438  0.9973  0.3603  1 W 1.89, 1 Cu 1.98
O  0.9053  0.2079  0.6858  2 W 1.98-2.16, 1 Cu 2.05
O  0.1106  0.2799  0.3156  2 W 1.87-2.06
O  0.3724  0.8134  0.7946  1 W 1.84
O  0.6708  0.3269  0.3131  1 W 1.81, 1 Cu 1.90
W  0.1661  0.9169  0.0861  4 O 1.83-2.01
O  0.9086  0.4586  0.1459  2 W 1.95-2.09, 1 Cu 2.13
Y  0.6656  0.1676  0.0853  6 O 2.22-2.40
O  0.0914  0.4586  0.6459  2 W 1.95-2.09, 1 Cu 2.13
O  0.0947  0.2079  0.1858  2 W 1.98-2.16, 1 Cu 2.05
O  0.3292  0.6731  0.6869  1 W 1.81, 1 Cu 1.90
O  0.0855  0.1265  0.9818  2 W 2.01-2.10, 1 Cu 2.15
O  0.3724  0.1866  0.7054  1 W 1.84
O  0.6074  0.4781  0.6274  1 W 1.76
Cu  0.2636  0.0000  0.2500  4 O 1.98-2.05
Y  0.3344  0.1676  0.5853  6 O 2.22-2.40
O  0.0914  0.5414  0.8541  2 W 1.95-2.09, 1 Cu 2.13
O  0.9145  0.1265  0.4818  2 W 2.01-2.10, 1 Cu 2.15
O  0.6222  0.1415  0.9660  1 W 1.83
O  0.3778  0.1415  0.4660  1 W 1.83
W  0.8242  0.5839  0.9151  3 O 1.76-1.94
Cu  0.2870  0.3337  0.9182  2 O 1.90-1.94
O  0.9053  0.7921  0.8142  2 W 1.98-2.16, 1 Cu 2.05
O  0.9086  0.5414  0.3541  2 W 1.95-2.09, 1 Cu 2.13
O  0.3926  0.5219  0.3726  1 W 1.76
Y  0.3344  0.8324  0.9147  6 O 2.22-2.40
O  0.6530  0.3327  0.5272  1 W 1.90, 1 Cu 1.94
W  0.8242  0.4161  0.5849  3 O 1.76-1.94
O  0.8876  0.9568  0.1477  2 W 2.00-2.14
O  0.1124  0.0432  0.8523  2 W 2.00-2.14
O  0.3926  0.4781  0.1274  1 W 1.76
Y  0.6656  0.8324  0.4147  6 O 2.22-2.40
O  0.3470  0.6673  0.4728  1 W 1.90, 1 Cu 1.94
W  0.1661  0.0831  0.4139  4 O 1.83-2.01
W  0.1642  0.2606  0.7522  4 O 1.81-2.00
O  0.3778  0.8585  0.0340  1 W 1.83
O  0.6276  0.8134  0.2946  1 W 1.84
Cu  0.7130  0.6663  0.0818  2 O 1.90-1.94
O  0.6222  0.8585  0.5340  1 W 1.83
O  0.8863  0.6200  0.4830  1 W 1.94
W  0.1758  0.4161  0.0849  3 O 1.76-1.94
O  0.1137  0.3800  0.5170  1 W 1.94
Cu  0.7130  0.3337  0.4182  2 O 1.90-1.94
O  0.8876  0.0432  0.3523  2 W 2.00-2.14
O  0.8863  0.3800  0.0170  1 W 1.94
O  0.6708  0.6731  0.1869  1 W 1.81, 1 Cu 1.90

---

b | This record from the Materials Project describes a relaxed Y2Cu3W6O24 crystal. The functional is PBE with a Hubbard U.

Calculated values
Magnetic moment ... 3.003 μB per cell

Cell lengths 6.0597, 6.2021, 13.6756 Å; angles 99.27, 91.50, 109.04 degrees
With the nearest neighbours (Å) after each atom.
Positions (direct):
O  0.1166  0.0528  0.1758  1 W 1.74
O  0.7800  0.0690  0.4941  1 W 1.82
O  0.6398  0.3158  0.6492  1 W 1.93
O  0.9805  0.3387  0.3185  2 W 1.99-2.15
O  0.6917  0.6660  0.0158  1 W 1.86
O  0.1885  0.4777  0.5112  1 Cu 1.86, 1 W 1.98
Y  0.3335  0.9919  0.6704  6 O 2.21-2.39
O  0.8115  0.5223  0.4888  1 Cu 1.86, 1 W 1.98
O  0.3083  0.3340  0.9842  1 W 1.86
W  0.0755  0.6732  0.4135  4 O 1.82-1.98
O  0.3602  0.6842  0.3508  1 W 1.93
O  0.4694  0.5290  0.8241  1 Cu 1.89, 1 W 1.97
O  0.9099  0.7793  0.3315  1 W 1.82
O  0.0195  0.6613  0.6815  2 W 1.99-2.15
O  0.5705  0.7485  0.6524  1 W 1.90
W  0.4214  0.6692  0.0772  4 O 1.82-2.04
O  0.2200  0.9310  0.5059  1 W 1.82
Cu  0.1718  0.5428  0.8559  3 O 1.86-1.93
O  0.5306  0.4710  0.1759  1 Cu 1.89, 1 W 1.97
Y  0.6666  0.0081  0.3296  6 O 2.21-2.39
O  0.0901  0.2207  0.6685  1 W 1.82
O  0.8494  0.4809  0.8436  1 Cu 1.86, 1 W 2.04
O  0.2584  0.7486  0.9831  1 W 1.82, 1 Cu 1.93
W  0.7415  0.6746  0.7526  2 O 1.74-1.90
O  0.4295  0.2515  0.3476  1 W 1.90
O  0.8834  0.9472  0.8242  1 W 1.74
O  0.7416  0.2514  0.0169  1 W 1.82, 1 Cu 1.93
W  0.2585  0.3254  0.2474  2 O 1.74-1.90
W  0.9245  0.3268  0.5865  4 O 1.82-1.98
Cu  0.8282  0.4572  0.1441  3 O 1.86-1.93
W  0.5786  0.3308  0.9228  4 O 1.82-2.04
O  0.5486  0.9345  0.1694  1 W 1.83
O  0.4514  0.0655  0.8306  1 W 1.83
O  0.1506  0.5191  0.1564  1 Cu 1.86, 1 W 2.04
Cu  0.5000  0.5000  0.5000  2 O 1.86

---

Verdict on stability: b comes out at the bottom.

---

a | This record from the Materials Project describes a relaxed Zn2CuWO6 crystal. The functional is PBE with a Hubbard U.

Calculated values
Magnetic moment ... 2.000 μB per cell

Cell lengths 5.1215, 5.0486, 9.8571 Å; angles 60.05, 90.00, 90.00 degrees
With the nearest neighbours (Å) after each atom.
Positions (direct):
O  0.1951  0.4224  0.9000  1 W 1.99, 1 Zn 2.00, 1 Cu 2.10
O  0.3130  0.7742  0.0480  1 Cu 1.89, 1 W 1.93
Zn  0.4748  0.2411  0.7634  4 O 2.00-2.12
Cu  0.5000  0.0000  0.5000  4 O 1.89-2.10
W  0.5000  0.5000  0.0000  6 O 1.93-1.99
O  0.3049  0.4224  0.4000  1 W 1.99, 1 Zn 2.00, 1 Cu 2.10
O  0.1136  0.1641  0.7017  1 W 1.95, 2 Zn 2.03-2.04
O  0.8049  0.5776  0.1000  1 W 1.99, 1 Zn 2.00, 1 Cu 2.10
O  0.6136  0.8359  0.7983  1 W 1.95, 2 Zn 2.03-2.04
O  0.3864  0.1641  0.2017  1 W 1.95, 2 Zn 2.03-2.04
Zn  0.5252  0.7589  0.2366  4 O 2.00-2.12
O  0.6870  0.2258  0.9520  1 Cu 1.89, 1 W 1.93
Cu  0.0000  0.0000  0.0000  4 O 1.89-2.10
O  0.8130  0.2258  0.4520  1 Cu 1.89, 1 W 1.93
O  0.1870  0.7742  0.5480  1 Cu 1.89, 1 W 1.93
Zn  0.9748  0.7589  0.7366  4 O 2.00-2.12
Zn  0.0252  0.2411  0.2634  4 O 2.00-2.12
O  0.8864  0.8359  0.2983  1 W 1.95, 2 Zn 2.03-2.04
W  0.0000  0.5000  0.5000  6 O 1.93-1.99
O  0.6951  0.5776  0.6000  1 W 1.99, 1 Zn 2.00, 1 Cu 2.10

---

b | This record from the Materials Project describes a relaxed Zn2CuWO6 crystal. The functional is PBE with a Hubbard U.

Calculated values
Maximum piezoelectric response ... 1.57 C/m²
Magnetic moment ... 0.999 μB per cell

Cell lengths 4.9906, 5.3771, 5.4258 Å; angles 114.94, 116.12, 89.82 degrees
With the nearest neighbours (Å) after each atom.
Positions (direct):
O  0.9352  0.7308  0.5757  1 Zn 1.95, 1 W 1.95
Cu  0.4818  0.4833  0.9834  4 O 1.95-2.03
O  0.3427  0.2343  0.1073  1 W 1.90, 1 Cu 1.98, 1 Zn 2.08
W  0.9916  0.9809  0.9882  6 O 1.89-2.08
O  0.6036  0.6780  0.8046  1 Cu 1.95, 2 Zn 2.02-2.11, 1 W 2.08
Zn  0.7301  0.3422  0.5293  5 O 1.96-2.20
O  0.9986  0.1446  0.3751  1 W 1.89, 1 Zn 1.96
O  0.2454  0.7396  0.1327  1 Zn 1.96, 1 Cu 1.96, 1 W 1.97
O  0.6941  0.1876  0.8110  1 W 2.00, 1 Cu 2.03, 1 Zn 2.09
Zn  0.2881  0.8193  0.5368  3 O 1.95-2.02

---

Verdict on stability: a comes out at the bottom.

---

a | This record from the Materials Project describes a relaxed DyMgMn2O4 crystal. The functional is PBE with a Hubbard U.

Calculated values
Magnetic moment ... 9.438 μB per cell

Cell lengths 3.3550, 3.3550, 11.3579 Å; angles 81.51, 81.51, 60.00 degrees
With the nearest neighbours (Å) after each atom.
Positions (direct):
Mn  0.2385  0.2385  0.2845  1 O 2.03
Mg  0.5000  0.5000  0.5000  6 O 2.26
O  0.1319  0.1319  0.6042  3 Mg 2.26, 3 Mn 2.30
Dy  0.0000  0.0000  0.0000  6 O 2.26
O  0.2989  0.2989  0.1033  1 Mn 2.03, 3 Dy 2.26
O  0.8681  0.8681  0.3958  3 Mg 2.26, 3 Mn 2.30
Mn  0.7615  0.7615  0.7155  1 O 2.03
O  0.7011  0.7011  0.8967  1 Mn 2.03, 3 Dy 2.26

---

b | This record from the Materials Project describes a relaxed DyMgMn2O4 crystal. The functional is PBE with a Hubbard U.

Calculated values
Magnetic moment ... 9.557 μB per cell

Cell lengths 3.3913, 3.3913, 11.3162 Å; angles 81.39, 81.39, 59.98 degrees
With the nearest neighbours (Å) after each atom.
Positions (direct):
Mn  0.1847  0.1847  0.4445  1 O 2.06
O  0.3035  0.3035  0.0872  3 Dy 2.33, 3 Mg 2.51-2.52
O  0.1233  0.1233  0.6296  4 Mn 2.05-2.06
Dy  0.0079  0.0079  0.9740  6 O 2.23-2.33
Mg  0.5908  0.5908  0.2292  3 O 2.11
O  0.9009  0.9009  0.2987  3 Mg 2.11
Mn  0.7714  0.7714  0.6856  4 O 2.05-2.14
O  0.7067  0.7067  0.8777  1 Mn 2.14, 3 Dy 2.23

---

Verdict on stability: a comes out at the bottom.